Density functional theory data (PBE-GGA) for BaAl2Ge2O8 after structural relaxation.

space-group type = C2/c, No. 15
DFT formation energy = -2.901 eV/atom
VASP energy = -6.96 eV per atom

a = 9.6690 Å, b = 9.6690 Å, c = 8.9174 Å
α = 97.78°, β = 97.78°, γ = 88.96°
Last column: nearest neighbours and their distance in Å.
Sites, in units of the cell vectors:
Ba  0.0658  0.5664  0.7895  7 O 2.66-2.96
Ba  0.4336  0.9342  0.7105  7 O 2.66-2.96
Ba  0.5664  0.0658  0.2895  7 O 2.66-2.96
Ba  0.9342  0.4336  0.2105  7 O 2.66-2.96
Al  0.0542  0.7928  0.4737  4 O 1.76-1.77
Al  0.2072  0.9458  0.0263  4 O 1.76-1.77
Al  0.2943  0.4323  0.1087  4 O 1.75-1.78
Al  0.4323  0.2943  0.6087  4 O 1.75-1.78
Al  0.5677  0.7057  0.3913  4 O 1.75-1.78
Al  0.7057  0.5677  0.8913  4 O 1.75-1.78
Al  0.7928  0.0542  0.9737  4 O 1.76-1.77
Al  0.9458  0.2072  0.5263  4 O 1.76-1.77
Ge  0.0703  0.2079  0.8946  4 O 1.75-1.78
Ge  0.2079  0.0703  0.3946  4 O 1.75-1.78
Ge  0.2912  0.5556  0.4767  4 O 1.76-1.77
Ge  0.4444  0.7088  0.0233  4 O 1.76-1.77
Ge  0.5556  0.2912  0.9767  4 O 1.76-1.77
Ge  0.7088  0.4444  0.5233  4 O 1.76-1.77
Ge  0.7921  0.9297  0.6054  4 O 1.75-1.78
Ge  0.9297  0.7921  0.1054  4 O 1.75-1.78
O  0.0239  0.2616  0.7143  1 Ge 1.75, 1 Al 1.76
O  0.0670  0.1859  0.3927  1 Ge 1.75, 1 Al 1.77
O  0.0714  0.8234  0.0085  1 Al 1.76, 1 Ge 1.77
O  0.1339  0.3684  0.0015  1 Al 1.78, 1 Ge 1.78
O  0.1444  0.6469  0.5397  1 Al 1.77, 1 Ge 1.77
O  0.1766  0.9286  0.4915  1 Al 1.76, 1 Ge 1.77
O  0.1859  0.0670  0.8927  1 Ge 1.75, 1 Al 1.77
O  0.2381  0.4758  0.2890  1 Ge 1.76, 1 Al 1.76
O  0.2616  0.0239  0.2143  1 Ge 1.75, 1 Al 1.76
O  0.3181  0.4372  0.6111  1 Al 1.75, 1 Ge 1.76
O  0.3222  0.5736  0.0090  1 Ge 1.76, 1 Al 1.77
O  0.3531  0.8556  0.9603  1 Al 1.77, 1 Ge 1.77
O  0.3684  0.1339  0.5015  1 Al 1.78, 1 Ge 1.78
O  0.4264  0.6778  0.4910  1 Ge 1.76, 1 Al 1.77
O  0.4372  0.3181  0.1111  1 Al 1.75, 1 Ge 1.76
O  0.4758  0.2381  0.7890  1 Ge 1.76, 1 Al 1.76
O  0.5242  0.7619  0.2110  1 Ge 1.76, 1 Al 1.76
O  0.5628  0.6819  0.8889  1 Al 1.75, 1 Ge 1.76
O  0.5736  0.3222  0.5090  1 Ge 1.76, 1 Al 1.77
O  0.6316  0.8661  0.4985  1 Al 1.78, 1 Ge 1.78
O  0.6469  0.1444  0.0397  1 Al 1.77, 1 Ge 1.77
O  0.6778  0.4264  0.9910  1 Ge 1.76, 1 Al 1.77
O  0.6819  0.5628  0.3889  1 Al 1.75, 1 Ge 1.76
O  0.7384  0.9761  0.7857  1 Ge 1.75, 1 Al 1.76
O  0.7619  0.5242  0.7110  1 Ge 1.76, 1 Al 1.76
O  0.8141  0.9330  0.1073  1 Ge 1.75, 1 Al 1.77
O  0.8234  0.0714  0.5085  1 Al 1.76, 1 Ge 1.77
O  0.8556  0.3531  0.4603  1 Al 1.77, 1 Ge 1.77
O  0.8661  0.6316  0.9985  1 Al 1.78, 1 Ge 1.78
O  0.9286  0.1766  0.9915  1 Al 1.76, 1 Ge 1.77
O  0.9330  0.8141  0.6073  1 Ge 1.75, 1 Al 1.77
O  0.9761  0.7384  0.2857  1 Ge 1.75, 1 Al 1.76